A relaxed structure of Ba3Ta2NiO9. Source: the Materials Project database, functional PBE+U.

a b c (Å): 5.825 12.374 12.374
angles (deg): 109.25 90.00 90.00
Sites, in units of the cell vectors:
O  0.000  0.752  0.923
O  0.250  0.875  0.125
O  0.750  0.625  0.375
O  0.000  0.248  0.077
O  0.742  0.619  0.705
O  0.758  0.869  0.455
O  0.500  0.498  0.827
O  0.750  0.125  0.875
O  0.250  0.625  0.375
O  0.500  0.002  0.673
O  0.258  0.881  0.795
O  0.258  0.619  0.705
O  0.242  0.631  0.045
O  0.242  0.869  0.455
O  0.000  0.748  0.577
O  0.250  0.125  0.875
O  0.258  0.381  0.295
O  0.750  0.875  0.125
O  0.742  0.119  0.205
O  0.500  0.998  0.327
O  0.500  0.500  0.500
O  0.750  0.375  0.625
O  0.250  0.375  0.625
O  0.758  0.131  0.545
O  0.500  0.000  0.000
O  0.758  0.369  0.955
O  0.258  0.119  0.205
O  0.000  0.250  0.750
O  0.000  0.750  0.250
O  0.000  0.252  0.423
O  0.500  0.502  0.173
O  0.242  0.369  0.955
O  0.742  0.381  0.295
O  0.758  0.631  0.045
O  0.742  0.881  0.795
O  0.242  0.131  0.545
Ba  0.500  0.750  0.250
Ba  0.000  0.997  0.664
Ba  0.000  0.497  0.164
Ba  0.500  0.253  0.086
Ba  0.500  0.250  0.750
Ba  0.000  0.003  0.336
Ba  0.000  0.503  0.836
Ba  0.000  0.500  0.500
Ba  0.500  0.747  0.914
Ba  0.000  0.000  0.000
Ba  0.500  0.247  0.414
Ba  0.500  0.753  0.586
Ta  0.500  0.495  0.328
Ta  0.000  0.255  0.922
Ta  0.000  0.755  0.422
Ta  0.500  0.995  0.828
Ta  0.500  0.505  0.672
Ta  0.500  0.005  0.172
Ta  0.000  0.745  0.078
Ta  0.000  0.245  0.578
Ni  0.000  0.250  0.250
Ni  0.000  0.750  0.750
Ni  0.500  0.500  0.000
Ni  0.500  0.000  0.500

Its total energy after the MP2020 corrections is -8.4774 eV/atom. Its total magnetization is 0.00 μB/atom. The calculated formation energy is -3.158 eV per atom. As for the density: 7.702 g cm⁻³. The value obtained for the volume is 842.2 Å³ per cell.